1.
Density functional theory data (GGA-PBE) for a geometry-optimized Sc3H20N5F14 structure.

Cell: 8.204 8.204 25.425 Å, 90.00 90.00 90.00°
Space group I4_1/a (No. 88, origin choice 2)
Asymmetric unit:
Sc 0.000 0.250 0.125
Sc 0.000 0.250 0.377
H 0.010 0.146 0.602
H 0.144 0.445 0.277
H 0.152 0.456 0.981
H 0.169 0.447 0.479
H 0.177 0.457 0.778
N 0.000 0.250 0.625
N 0.239 0.490 0.254
F 0.000 0.250 0.047
F 0.001 0.424 0.321
F 0.001 0.499 0.873
F 0.002 0.072 0.433

## Properties
M_tot   0.12 μB/f.u.
ΔE_f   -1.932 eV per atom



2.
Density functional theory data (GGA-PBE) for a geometry-optimized SiH6N2F4 structure.

Cell: 5.119 7.219 6.900 Å, 90.00 92.12 90.00°
Space group P2_1/c (No. 14)
Asymmetric unit:
Si 0.000 0.000 0.000
H 0.179 0.069 0.330
H 0.200 0.659 0.790
H 0.415 0.514 0.697
N 0.221 0.530 0.728
F 0.109 0.222 0.983
F 0.248 0.575 0.358

## Properties
M_tot   0.00 μB/f.u.
ΔE_f   -1.667 eV per atom